The following is a PBE calculation of an optimized crystal structure of K2NaTaF6, from the Materials Project.

a = 6.151 Å, b = 6.151 Å, c = 6.151 Å
α = 60.00°, β = 60.00°, γ = 60.00°
Atoms (fractional coordinates):
F (0.240, 0.760, 0.240)
F (0.240, 0.240, 0.760)
F (0.760, 0.240, 0.240)
F (0.760, 0.760, 0.240)
F (0.240, 0.760, 0.760)
F (0.760, 0.240, 0.760)
K (0.750, 0.750, 0.750)
K (0.250, 0.250, 0.250)
Ta (0.000, 0.000, 0.000)
Na (0.500, 0.500, 0.500)

Properties
Space group = Fm-3m (225)
Formation enthalpy at 0 K = -67.7 kcal/mol of atoms
Crystal system = cubic
Electronic total energy = -53.47 eV per formula unit
Total magnetization = 2.000 μB per cell